# 1
# BaSrPb6

A geometry-optimized BaSrPb6 structure (PBE-GGA, the Materials Project).

```
BaSrPb6
1.0
7.264 0.000 0.000
-3.632 6.290 0.000
0.000 0.000 17.550
Ba Sr Pb
3 3 18
direct
0.000 0.000 0.000
0.000 0.000 0.500
0.667 0.333 0.161
0.333 0.667 0.339
0.333 0.667 0.662
0.667 0.333 0.839
0.035 0.517 0.999
0.167 0.334 0.830
0.167 0.335 0.170
0.167 0.833 0.170
0.167 0.833 0.830
0.332 0.166 0.331
0.334 0.167 0.670
0.483 0.517 0.999
0.483 0.965 0.999
0.516 0.033 0.500
0.516 0.484 0.500
0.665 0.833 0.170
0.666 0.833 0.830
0.833 0.167 0.670
0.833 0.666 0.670
0.834 0.166 0.331
0.834 0.668 0.331
0.967 0.484 0.500
```

Summary:
Space-group type = P3m1, No. 156
Energy relative to the elements = -0.35 eV/atom


# 2
# BaZnPb

A geometry-optimized BaZnPb structure (PBE-GGA, the Materials Project).

```
BaZnPb
1.0
4.887 0.000 0.000
-2.443 4.232 0.000
0.000 0.000 9.870
Ba Zn Pb
2 2 2
direct
0.000 0.000 0.000
0.000 0.000 0.500
0.333 0.667 0.250
0.667 0.333 0.750
0.333 0.667 0.750
0.667 0.333 0.250
```

Summary:
Space-group type = P6_3/mmc, No. 194
Energy relative to the elements = -0.41 eV/atom


# 3
# Ba2Pd

A geometry-optimized Ba2Pd structure (PBE-GGA, the Materials Project).

```
Ba2Pd
1.0
8.449 0.000 0.000
0.000 5.302 0.000
0.000 0.000 10.492
Ba Pd
8 4
direct
0.003 0.250 0.156
0.140 0.250 0.586
0.360 0.750 0.086
0.497 0.750 0.656
0.503 0.250 0.344
0.640 0.250 0.914
0.860 0.750 0.414
0.997 0.750 0.844
0.241 0.250 0.913
0.259 0.750 0.413
0.741 0.250 0.587
0.759 0.750 0.087
```

Summary:
Space-group type = Pnma, No. 62
Energy relative to the elements = -0.36 eV/atom


# 4
# Ba4Pd

A geometry-optimized Ba4Pd structure (PBE-GGA, the Materials Project).

```
Ba4Pd
1.0
0.000 6.702 6.702
6.702 0.000 6.702
6.702 6.702 0.000
Ba Pd
8 2
direct
0.239 0.754 0.754
0.246 0.246 0.246
0.246 0.246 0.761
0.246 0.761 0.246
0.754 0.239 0.754
0.754 0.754 0.239
0.754 0.754 0.754
0.761 0.246 0.246
0.375 0.375 0.375
0.625 0.625 0.625
```

Summary:
Space-group type = Fd-3m, No. 227
Energy relative to the elements = -0.06 eV/atom


# 5
# BaPd5

A geometry-optimized BaPd5 structure (PBE-GGA, the Materials Project).

```
BaPd5
1.0
5.607 0.000 0.000
-2.804 4.856 0.000
0.000 0.000 4.421
Ba Pd
1 5
direct
0.000 0.000 0.000
0.000 0.500 0.500
0.333 0.667 0.000
0.500 0.000 0.500
0.500 0.500 0.500
0.667 0.333 0.000
```

Summary:
Space-group type = P6/mmm, No. 191
Energy relative to the elements = -0.34 eV/atom


# 6
# BaPdS2

A geometry-optimized BaPdS2 structure (PBE-GGA, the Materials Project).

```
BaPdS2
1.0
6.863 0.000 0.000
0.000 10.778 0.000
0.000 0.000 5.737
Ba Pd S
4 4 8
direct
0.000 0.151 0.250
0.000 0.849 0.750
0.500 0.349 0.750
0.500 0.651 0.250
0.000 0.500 0.000
0.000 0.500 0.500
0.500 0.000 0.000
0.500 0.000 0.500
0.236 0.406 0.250
0.236 0.594 0.750
0.264 0.094 0.750
0.264 0.906 0.250
0.736 0.094 0.750
0.736 0.906 0.250
0.764 0.406 0.250
0.764 0.594 0.750
```

Summary:
Space-group type = Cmcm, No. 63
Energy relative to the elements = -1.47 eV/atom


# 7
# BaPdS2

A geometry-optimized BaPdS2 structure (PBE-GGA, the Materials Project).

```
BaPdS2
1.0
4.832 0.000 0.000
0.000 4.832 0.000
0.000 0.000 4.346
Ba Pd S
1 1 2
direct
0.000 0.000 0.000
0.500 0.500 0.500
0.000 0.500 0.500
0.500 0.000 0.500
```

Summary:
Space-group type = P4/mmm, No. 123
Energy relative to the elements = -1.32 eV/atom


# 8
# BaSb2Pd

A geometry-optimized BaSb2Pd structure (PBE-GGA, the Materials Project).

```
BaSb2Pd
1.0
4.958 0.000 0.000
0.000 18.797 0.000
0.000 0.000 4.986
Ba Sb Pd
4 8 4
direct
0.000 0.107 0.250
0.000 0.893 0.750
0.500 0.393 0.750
0.500 0.607 0.250
0.000 0.250 0.750
0.000 0.458 0.250
0.000 0.542 0.750
0.000 0.750 0.250
0.500 0.042 0.750
0.500 0.250 0.250
0.500 0.750 0.750
0.500 0.958 0.250
0.000 0.314 0.250
0.000 0.686 0.750
0.500 0.186 0.750
0.500 0.814 0.250
```

Summary:
Space-group type = Cmcm, No. 63
Energy relative to the elements = -0.81 eV/atom